#one
Entry from the Materials Project: a geometry-optimized KAlSiO4 structure (GGA-PBE).

Cell: 5.1629 5.1629 5.1841 Å, 90.00 90.00 120.00°
With the nearest neighbours (Å) after each atom.
Space group P3 (No. 143)
Asymmetric unit:
1 K 0.0000 0.0000 0.0000 (multiplicity 1)  6 O 3.03-3.09
2 Al 0.6667 0.3333 0.4652 (multiplicity 1)  3 O 1.69
3 Si 0.3333 0.6667 0.5841 (multiplicity 1)  4 O 1.59-1.67
4 O 0.0180 0.6318 0.4624 (multiplicity 3)  1 Si 1.67, 1 Al 1.69
5 O 0.3333 0.6667 0.8910 (multiplicity 1)  1 Si 1.59

Properties
- Size of the total moment: 0.000 μB per atom


#two
Entry from the Materials Project: a geometry-optimized KAlSiO4 structure (GGA-PBE).

Cell: 18.3000 18.3000 8.5526 Å, 90.00 90.00 120.00°
With the nearest neighbours (Å) after each atom.
Space group P6_3 (No. 173)
Asymmetric unit:
1 K 0.0000 0.0000 0.0000 (multiplicity 2)  9 O 2.89-3.12
2 K 0.0047 0.5272 0.0054 (multiplicity 6)  4 O 2.71-2.82
3 K 0.1373 0.8048 0.0093 (multiplicity 6)  4 O 2.71-2.81
4 K 0.1460 0.3335 0.5083 (multiplicity 6)  4 O 2.77-2.81
5 K 0.3333 0.6667 0.0188 (multiplicity 2)  9 O 2.91-3.12
6 K 0.3333 0.6667 0.5184 (multiplicity 2)  9 O 2.91-3.13
7 Al 0.9998 0.3317 0.1975 (multiplicity 6)  4 O 1.73-1.77
8 Al 0.0079 0.1698 0.8250 (multiplicity 6)  4 O 1.76-1.78
9 Al 0.1639 0.6554 0.3097 (multiplicity 6)  4 O 1.76-1.78
10 Al 0.1747 0.4986 0.8097 (multiplicity 6)  4 O 1.76-1.77
11 Si 0.9995 0.3344 0.8074 (multiplicity 6)  4 O 1.61-1.65
12 Si 0.0087 0.1682 0.2081 (multiplicity 6)  4 O 1.64-1.65
13 Si 0.1637 0.6579 0.6917 (multiplicity 6)  4 O 1.64-1.65
14 Si 0.1737 0.4959 0.1916 (multiplicity 6)  4 O 1.64-1.65
15 O 0.0049 0.6699 0.4956 (multiplicity 6)  1 Si 1.61, 1 Al 1.73
16 O 0.0238 0.2649 0.7387 (multiplicity 6)  1 Si 1.65, 1 Al 1.78
17 O 0.0284 0.7705 0.7648 (multiplicity 6)  1 Si 1.65, 1 Al 1.77
18 O 0.0375 0.1841 0.0238 (multiplicity 6)  1 Si 1.64, 1 Al 1.76
19 O 0.0639 0.9311 0.7312 (multiplicity 6)  1 Si 1.64, 1 Al 1.76
20 O 0.0700 0.4292 0.7469 (multiplicity 6)  1 Si 1.64, 1 Al 1.77
21 O 0.0744 0.6413 0.7703 (multiplicity 6)  1 Si 1.65, 1 Al 1.77
22 O 0.0924 0.1919 0.3137 (multiplicity 6)  1 Si 1.64, 1 Al 1.76
23 O 0.0934 0.6878 0.2386 (multiplicity 6)  1 Si 1.65, 1 Al 1.78
24 O 0.1020 0.4050 0.2664 (multiplicity 6)  1 Si 1.65, 1 Al 1.77
25 O 0.1406 0.5641 0.2028 (multiplicity 6)  1 Si 1.64, 1 Al 1.76
26 O 0.1492 0.6269 0.5088 (multiplicity 6)  1 Si 1.64, 1 Al 1.76
27 O 0.1903 0.4834 0.0076 (multiplicity 6)  1 Si 1.64, 1 Al 1.76
28 O 0.1995 0.6043 0.7866 (multiplicity 6)  1 Si 1.64, 1 Al 1.76
29 O 0.2336 0.7588 0.6986 (multiplicity 6)  1 Si 1.64, 1 Al 1.76
30 O 0.2634 0.5326 0.2853 (multiplicity 6)  1 Si 1.64, 1 Al 1.76

Properties
- Size of the total moment: 0.000 μB per atom


Least stable structure among those shown: #one.